## MoRh (GGA-PBE)

Data for crystalline MoRh at its relaxed geometry.

Cell: 2.762 4.448 4.848 Å, 90.00 90.00 90.00°
Positions (direct):
1 Rh 0.500 0.250 0.326
2 Rh 0.500 0.750 0.674
3 Mo 0.000 0.250 0.829
4 Mo 0.000 0.750 0.171



## Nd2ZnRu (GGA-PBE)

Data for crystalline Nd2ZnRu at its relaxed geometry.

Summary:
spin magnetization: 0.000 μB per atom

Cell: 5.089 5.089 5.089 Å, 60.00 60.00 60.00°
Positions (direct):
1 Ru 0.500 0.500 0.500
2 Zn 0.000 0.000 0.000
3 Nd 0.750 0.750 0.750
4 Nd 0.250 0.250 0.250



## TiCrAgS4 (GGA-PBE)

Data for crystalline TiCrAgS4 at its relaxed geometry.

Summary:
spin magnetization: 0.429 μB per atom
E above lowest polymorph: 28.5 meV/atom

Cell: 5.955 6.910 13.367 Å, 89.69 89.81 89.94°
Positions (direct):
1 S 0.663 0.499 0.852
2 Ti 0.006 0.483 0.751
3 Ti 0.507 0.771 0.751
4 Ag 0.349 0.999 0.002
5 Ag 0.027 0.001 0.499
6 S 0.838 0.750 0.645
7 S 0.162 0.754 0.146
8 S 0.339 0.501 0.647
9 Cr 0.000 0.501 0.251
10 S 0.670 0.001 0.146
11 S 0.328 0.006 0.647
12 S 0.669 0.008 0.855
13 S 0.330 0.500 0.353
14 S 0.332 0.000 0.354
15 Ag 0.969 0.498 0.998
16 S 0.162 0.249 0.146
17 Ag 0.645 0.497 0.499
18 Ti 0.500 0.747 0.250
19 S 0.828 0.248 0.645
20 S 0.837 0.253 0.355
21 Cr 0.000 0.001 0.249
22 S 0.173 0.238 0.856
23 S 0.669 0.502 0.145
24 Cr 0.499 0.252 0.749
25 S 0.837 0.747 0.355
26 Ti 0.501 0.247 0.249
27 S 0.163 0.752 0.855
28 Cr 0.999 0.995 0.751



## Li4CO4 (GGA-PBE)

Data for crystalline Li4CO4 at its relaxed geometry.

Summary:
spin magnetization: 0.000 μB per atom

Cell: 4.966 4.966 4.966 Å, 129.42 129.42 74.34°
Positions (direct):
1 Li 0.556 0.158 0.000
2 O 0.086 0.086 0.384
3 O 0.298 0.914 0.000
4 Li 0.158 0.556 0.000
5 O 0.914 0.298 0.000
6 Li 0.444 0.444 0.601
7 Li 0.842 0.842 0.399
8 C 0.000 0.000 0.000
9 O 0.702 0.702 0.616



## AlHO2 (GGA-PBE)

Data for crystalline AlHO2 at its relaxed geometry.

Summary:
spin magnetization: 0.000 μB per atom
piezoelectric modulus e_max: 2.440 C/m²

Cell: 2.862 4.263 4.770 Å, 90.00 90.00 90.00°
Positions (direct):
1 O 0.000 0.503 0.649
2 H 0.500 0.195 0.977
3 Al 0.500 0.276 0.491
4 O 0.500 0.497 0.149
5 H 0.000 0.805 0.477
6 O 0.000 0.001 0.349
7 O 0.500 0.999 0.849
8 Al 0.000 0.724 0.991



## LiAlC2N4 (GGA-PBE)

Data for crystalline LiAlC2N4 at its relaxed geometry.

Summary:
spin magnetization: 0.000 μB per atom

Cell: 5.479 6.542 9.214 Å, 90.00 90.00 90.00°
Positions (direct):
1 Al 0.750 0.879 0.000
2 C 0.912 0.131 0.246
3 N 0.564 0.599 0.613
4 C 0.412 0.369 0.254
5 N 0.564 0.099 0.887
6 Al 0.250 0.121 0.000
7 N 0.436 0.401 0.387
8 Al 0.750 0.379 0.500
9 N 0.110 0.842 0.624
10 C 0.088 0.869 0.754
11 N 0.610 0.658 0.876
12 C 0.588 0.131 0.754
13 Li 0.750 0.379 0.000
14 N 0.610 0.158 0.624
15 C 0.412 0.869 0.246
16 N 0.110 0.342 0.876
17 N 0.890 0.158 0.376
18 N 0.064 0.401 0.613
19 N 0.890 0.658 0.124
20 C 0.912 0.631 0.254
21 N 0.436 0.901 0.113
22 N 0.936 0.099 0.113
23 N 0.936 0.599 0.387
24 C 0.088 0.369 0.746
25 Li 0.250 0.121 0.500
26 Li 0.750 0.879 0.500
27 N 0.064 0.901 0.887
28 Al 0.250 0.621 0.500
29 Li 0.250 0.621 0.000
30 C 0.588 0.631 0.746
31 N 0.390 0.342 0.124
32 N 0.390 0.842 0.376



## SrAs2Ru2 (GGA-PBE)

Data for crystalline SrAs2Ru2 at its relaxed geometry.

Cell: 6.404 6.404 6.404 Å, 141.55 141.55 55.50°
Positions (direct):
1 Sr 0.000 0.000 0.000
2 Ru 0.250 0.750 0.500
3 As 0.359 0.359 0.000
4 As 0.641 0.641 0.000
5 Ru 0.750 0.250 0.500



## KMgPO4 (GGA-PBE)

Data for crystalline KMgPO4 at its relaxed geometry.

Summary:
spin magnetization: 0.000 μB per atom

Cell: 5.147 8.665 19.263 Å, 88.30 90.00 90.00°
Positions (direct):
1 O 0.906 0.051 0.782
2 K 0.275 0.004 0.907
3 O 0.551 0.281 0.550
4 K 0.725 0.996 0.093
5 O 0.182 0.213 0.633
6 O 0.675 0.532 0.934
7 Mg 0.275 0.156 0.231
8 O 0.318 0.213 0.133
9 P 0.247 0.295 0.063
10 Mg 0.775 0.844 0.269
11 Mg 0.721 0.322 0.969
12 O 0.502 0.227 0.795
13 P 0.753 0.705 0.937
14 O 0.825 0.532 0.434
15 Mg 0.221 0.678 0.531
16 K 0.234 0.518 0.340
17 O 0.594 0.051 0.282
18 O 0.682 0.787 0.867
19 Mg 0.279 0.678 0.031
20 O 0.160 0.793 0.110
21 O 0.002 0.773 0.705
22 O 0.900 0.781 0.497
23 O 0.449 0.719 0.450
24 O 0.600 0.781 0.997
25 P 0.253 0.295 0.563
26 O 0.038 0.671 0.229
27 P 0.205 0.793 0.190
28 O 0.175 0.468 0.566
29 K 0.775 0.996 0.593
30 P 0.295 0.793 0.690
31 Mg 0.225 0.156 0.731
32 O 0.818 0.787 0.367
33 K 0.766 0.482 0.660
34 O 0.538 0.329 0.271
35 Mg 0.725 0.844 0.769
36 K 0.225 0.004 0.407
37 O 0.660 0.207 0.390
38 O 0.962 0.329 0.771
39 P 0.795 0.207 0.810
40 K 0.734 0.482 0.160
41 O 0.094 0.949 0.218
42 O 0.400 0.219 0.003
43 O 0.406 0.949 0.718
44 O 0.051 0.719 0.950
45 P 0.705 0.207 0.310
46 O 0.498 0.773 0.205
47 O 0.998 0.227 0.295
48 O 0.949 0.281 0.050
49 K 0.266 0.518 0.840
50 P 0.747 0.705 0.437
51 O 0.340 0.793 0.610
52 Mg 0.779 0.322 0.469
53 O 0.462 0.671 0.729
54 O 0.100 0.219 0.503
55 O 0.840 0.207 0.890
56 O 0.325 0.468 0.066



## CuSnO4F6 (GGA-PBE)

Data for crystalline CuSnO4F6 at its relaxed geometry.

Summary:
spin magnetization: 0.583 μB per atom

Cell: 8.880 5.433 7.137 Å, 82.61 90.00 90.00°
Positions (direct):
1 O 0.656 0.369 0.887
2 F 0.548 0.228 0.268
3 Cu 0.500 0.500 0.000
4 O 0.156 0.631 0.613
5 Sn 0.000 0.000 0.000
6 Sn 0.500 0.000 0.500
7 F 0.841 0.150 0.147
8 O 0.126 0.272 0.426
9 F 0.341 0.850 0.353
10 O 0.844 0.369 0.387
11 F 0.648 0.740 0.430
12 F 0.952 0.228 0.768
13 F 0.159 0.850 0.853
14 O 0.626 0.728 0.074
15 Cu 0.000 0.500 0.500
16 F 0.852 0.740 0.930
17 F 0.452 0.772 0.732
18 O 0.344 0.631 0.113
19 F 0.352 0.260 0.570
20 F 0.148 0.260 0.070
21 F 0.048 0.772 0.232
22 O 0.374 0.272 0.926
23 O 0.874 0.728 0.574
24 F 0.659 0.150 0.647



## Na3Ca3Zr2Si4O15F3 (GGA-PBE)

Data for crystalline Na3Ca3Zr2Si4O15F3 at its relaxed geometry.

Summary:
spin magnetization: 0.000 μB per atom
E above lowest polymorph: 0.0 meV/atom

Cell: 8.990 10.149 10.069 Å, 78.78 86.26 96.88°
Positions (direct):
1 O 0.291 0.513 0.771
2 F 0.155 0.506 0.996
3 O 0.601 0.920 0.982
4 Si 0.950 0.186 0.705
5 F 0.674 0.875 0.301
6 F 0.845 0.494 0.004
7 O 0.967 0.351 0.662
8 Zr 0.380 0.852 0.061
9 F 0.326 0.125 0.699
10 F 0.736 0.952 0.500
11 Si 0.913 0.214 0.150
12 O 0.847 0.145 0.025
13 Ca 0.603 0.642 0.022
14 O 0.586 0.394 0.495
15 O 0.620 0.292 0.069
16 Si 0.087 0.786 0.850
17 F 0.264 0.048 0.500
18 Na 0.177 0.213 0.356
19 Ca 0.167 0.516 0.570
20 O 0.380 0.708 0.931
21 O 0.512 0.293 0.419
22 O 0.443 0.709 0.204
23 Ca 0.833 0.484 0.430
24 Si 0.832 0.945 0.348
25 O 0.859 0.110 0.298
26 O 0.141 0.890 0.702
27 Zr 0.451 0.488 0.328
28 O 0.068 0.103 0.807
29 O 0.779 0.114 0.765
30 Ca 0.851 0.937 0.961
31 O 0.238 0.427 0.401
32 Na 0.823 0.787 0.644
33 Zr 0.549 0.512 0.672
34 O 0.416 0.461 0.145
35 O 0.488 0.707 0.581
36 Si 0.752 0.379 0.135
37 Zr 0.620 0.148 0.939
38 O 0.153 0.855 0.975
39 O 0.709 0.487 0.229
40 O 0.033 0.649 0.338
41 O 0.557 0.291 0.796
42 O 0.399 0.080 0.018
43 Si 0.050 0.814 0.295
44 O 0.762 0.573 0.599
45 O 0.932 0.897 0.193
46 Na 0.575 0.155 0.609
47 Na 0.425 0.845 0.391
48 Si 0.248 0.621 0.865
49 O 0.966 0.867 0.428
50 Na 0.836 0.466 0.799
51 O 0.904 0.763 0.864
52 Ca 0.397 0.358 0.978
53 O 0.584 0.539 0.855
54 O 0.034 0.133 0.572
55 Si 0.168 0.055 0.652
56 Ca 0.149 0.063 0.039
57 O 0.221 0.886 0.235
58 Na 0.164 0.534 0.201
59 O 0.414 0.606 0.505
60 O 0.096 0.237 0.136



## SrMg6Sn (GGA-PBE)

Data for crystalline SrMg6Sn at its relaxed geometry.

Summary:
spin magnetization: 0.001 μB per atom
E above lowest polymorph: 9.8 meV/atom

Cell: 5.204 6.886 11.731 Å, 90.00 90.00 90.00°
Positions (direct):
1 Sn 0.000 0.500 0.342
2 Mg 0.000 0.500 0.833
3 Mg 0.500 0.252 0.420
4 Mg 0.000 0.270 0.576
5 Sr 0.500 0.000 0.671
6 Mg 0.500 0.000 0.161
7 Mg 0.000 0.730 0.576
8 Mg 0.500 0.500 0.661
9 Mg 0.000 0.230 0.076
10 Sn 0.000 0.000 0.842
11 Sr 0.500 0.500 0.171
12 Mg 0.500 0.752 0.920
13 Mg 0.500 0.248 0.920
14 Mg 0.000 0.770 0.076
15 Mg 0.500 0.748 0.420
16 Mg 0.000 0.000 0.333



## CeSmFe4 (GGA-PBE)

Data for crystalline CeSmFe4 at its relaxed geometry.

Summary:
spin magnetization: 1.031 μB per atom

Cell: 5.079 5.079 5.079 Å, 60.00 60.00 60.00°
Positions (direct):
1 Fe 0.625 0.625 0.126
2 Fe 0.126 0.625 0.625
3 Fe 0.625 0.126 0.625
4 Ce 0.250 0.250 0.250
5 Sm 0.000 0.000 0.000
6 Fe 0.625 0.625 0.625



## K3CeAs2O8 (GGA-PBE)

Data for crystalline K3CeAs2O8 at its relaxed geometry.

Summary:
spin magnetization: 0.061 μB per atom

Cell: 5.964 7.756 10.033 Å, 88.37 90.00 90.00°
Positions (direct):
1 O 0.013 0.652 0.162
2 O 0.750 0.318 0.079
3 O 0.014 0.250 0.338
4 K 0.250 0.859 0.410
5 As 0.750 0.692 0.573
6 K 0.250 0.298 0.084
7 O 0.514 0.750 0.662
8 K 0.750 0.141 0.590
9 Ce 0.250 0.510 0.713
10 K 0.250 0.006 0.804
11 O 0.986 0.750 0.662
12 Ce 0.750 0.490 0.287
13 O 0.250 0.682 0.921
14 O 0.513 0.348 0.838
15 O 0.250 0.209 0.584
16 K 0.750 0.702 0.916
17 O 0.750 0.791 0.416
18 O 0.750 0.475 0.544
19 O 0.250 0.525 0.456
20 O 0.487 0.652 0.162
21 K 0.750 0.994 0.196
22 O 0.250 0.956 0.104
23 As 0.750 0.262 0.914
24 As 0.250 0.308 0.427
25 O 0.750 0.044 0.896
26 As 0.250 0.738 0.086
27 O 0.486 0.250 0.338
28 O 0.987 0.348 0.838



## TiS2 (GGA-PBE)

Data for crystalline TiS2 at its relaxed geometry.

Summary:
spin magnetization: 0.000 μB per atom

Cell: 3.411 5.436 6.131 Å, 90.00 90.00 90.00°
Positions (direct):
1 Ti 0.000 0.000 0.000
2 Ti 0.500 0.500 0.500
3 S 0.000 0.247 0.344
4 S 0.000 0.753 0.656
5 S 0.500 0.253 0.844
6 S 0.500 0.747 0.156



## HfCo (GGA-PBE)

Data for crystalline HfCo at its relaxed geometry.

Cell: 3.150 3.150 3.150 Å, 90.00 90.00 90.00°
Positions (direct):
1 Co 0.500 0.500 0.500
2 Hf 0.000 0.000 0.000



| no. | energy of formation from the pure elements (meV/atom) |
| --- | --- |
| 1 | -189.0 |
| 2 | -224.1 |
| 3 | -1078.2 |
| 4 | -2001.2 |
| 5 | -2611.7 |
| 6 | -716.4 |
| 7 | -678.0 |
| 8 | -2916.8 |
| 9 | -1050.3 |
| 10 | -2859.2 |
| 11 | -28.6 |
| 12 | 5.2 |
| 13 | -2388.2 |
| 14 | -1490.1 |
| 15 | -398.5 |